## NaEuCu2F8 (GGA-PBE)

Data for crystalline NaEuCu2F8 at its relaxed geometry.

Properties
* magnetic moment: 8.00 μB/f.u.
* formation energy from the elements: -2.724 eV/atom
* calculated volume: 13.15 Å³/atom

Cell lengths 6.4747, 6.4747, 6.4747 Å; angles 129.44, 129.44, 74.30 degrees
With the nearest neighbours (Å) after each atom.
Atoms (fractional coordinates):
Na (0.5000, 0.5000, 0.0000)  8 F 2.44
F (0.2957, 0.8037, 0.8506)  1 Cu 1.89
Cu (0.2500, 0.7500, 0.5000)  4 F 1.89
F (0.0469, 0.1963, 0.4920)  1 Cu 1.89
F (0.7043, 0.5549, 0.5080)  1 Cu 1.89
F (0.8037, 0.9531, 0.5080)  1 Cu 1.89
Cu (0.7500, 0.2500, 0.5000)  4 F 1.89
F (0.1963, 0.7043, 0.1494)  1 Cu 1.89
F (0.4451, 0.2957, 0.4920)  1 Cu 1.89
F (0.9531, 0.4451, 0.1494)  1 Cu 1.89
Eu (0.0000, 0.0000, 0.0000)  8 F 2.39
F (0.5549, 0.0469, 0.8506)  1 Cu 1.89



## CaAg4Ru4O12 (GGA-PBE)

Data for crystalline CaAg4Ru4O12 at its relaxed geometry.

Properties
* excess energy over the best structure of this formula in the dataset: 3.554 eV per formula unit
* magnetic moment: 0.00 μB/f.u.
* formation energy from the elements: -0.978 eV/atom
* calculated volume: 14.18 Å³/atom

Cell lengths 7.5028, 7.4961, 7.4877 Å; angles 60.04, 90.00, 120.03 degrees
With the nearest neighbours (Å) after each atom.
Atoms (fractional coordinates):
O (0.8152, 0.6305, 0.4348)  2 Ru 1.88
Ru (0.5119, 0.0238, 0.5115)  3 O 1.88
Ag (0.5774, 0.5535, 0.9733)  3 O 2.48-2.51
Ca (0.3734, 0.7468, 0.3766)  6 O 2.25-2.26
Ru (0.9624, 0.4749, 0.5126)  3 O 1.88
Ru (0.5119, 0.0238, 0.9647)  3 O 1.88
O (0.1620, 0.7489, 0.1633)  2 Ru 2.20-2.21, 1 Ca 2.25
O (0.1616, 0.3233, 0.5884)  2 Ru 2.21, 1 Ca 2.25, 2 Ag 2.47
O (0.1620, 0.7489, 0.5879)  2 Ru 2.20-2.21, 1 Ca 2.25
O (0.5868, 0.7489, 0.5879)  2 Ru 2.20-2.21, 1 Ca 2.25
O (0.5861, 0.1722, 0.1639)  2 Ru 2.19, 1 Ca 2.26
O (0.8144, 0.2495, 0.4346)  2 Ru 1.88
O (0.4351, 0.2495, 0.8159)  2 Ru 1.88
Ag (0.9748, 0.9496, 0.5775)  3 O 2.47-2.50
O (0.5868, 0.7489, 0.1633)  2 Ru 2.20-2.21, 1 Ca 2.25
O (0.4351, 0.2495, 0.4346)  2 Ru 1.88
Ag (0.9748, 0.9496, 0.9729)  3 O 2.47-2.50
Ru (0.5125, 0.4749, 0.5126)  3 O 1.88
O (0.4355, 0.8710, 0.8145)  2 Ru 1.88
O (0.8144, 0.2495, 0.8159)  2 Ru 1.88
Ag (0.9761, 0.5535, 0.9733)  3 O 2.48-2.51



## CaSn2O4 (GGA-PBE)

Data for crystalline CaSn2O4 at its relaxed geometry.

Properties
* excess energy over the best structure of this formula in the dataset: 1.487 eV per formula unit
* magnetic moment: 0.00 μB/f.u.
* formation energy from the elements: -2.098 eV/atom
* calculated volume: 14.36 Å³/atom

Cell lengths 5.7111, 5.7111, 11.0740 Å; angles 90.00, 90.00, 146.19 degrees
With the nearest neighbours (Å) after each atom.
Atoms (fractional coordinates):
Sn (0.1315, 0.8685, 0.4270)  6 O 2.18-2.34
O (0.5000, 0.5000, 0.5000)  4 Sn 2.34
O (0.2267, 0.7733, 0.8888)  3 Sn 2.29-2.31
Sn (0.1315, 0.8685, 0.0730)  6 O 2.18-2.34
O (0.9561, 0.0439, 0.7500)  2 Sn 2.18, 2 Ca 2.36
O (0.7733, 0.2267, 0.3888)  3 Sn 2.29-2.31
O (0.2267, 0.7733, 0.6112)  3 Sn 2.29-2.31
Sn (0.8685, 0.1315, 0.9270)  6 O 2.18-2.34
Sn (0.8685, 0.1315, 0.5730)  6 O 2.18-2.34
O (0.0439, 0.9561, 0.2500)  2 Sn 2.18, 2 Ca 2.36
O (0.7733, 0.2267, 0.1112)  3 Sn 2.29-2.31
O (0.5000, 0.5000, 0.0000)  4 Sn 2.34
Ca (0.6098, 0.3902, 0.7500)  6 O 2.36-2.60
Ca (0.3902, 0.6098, 0.2500)  6 O 2.36-2.60



## Na14Ca2Ti6Si9S3O48 (GGA-PBE)

Data for crystalline Na14Ca2Ti6Si9S3O48 at its relaxed geometry.

Properties
* magnetic moment: 0.00 μB/f.u.
* formation energy from the elements: -2.835 eV/atom
* calculated volume: 13.05 Å³/atom

Cell lengths 18.2005, 9.1294, 22.3402 Å; angles 90.21, 89.90, 120.13 degrees
With the nearest neighbours (Å) after each atom.
Atoms (fractional coordinates):
O (0.4953, 0.1890, 0.3053)  1 S 1.47
O (0.8108, 0.0903, 0.1425)  1 Si 1.60
O (0.8492, 0.1722, 0.0260)  1 Si 1.69
O (0.9157, 0.9966, 0.4063)  1 Si 1.63
Si (0.6859, 0.3335, 0.0837)  4 O 1.59-1.68
Ti (0.9968, 0.0172, 0.6401)  5 O 1.88-2.04
O (0.1474, 0.8209, 0.2535)  1 Si 1.68
O (0.4875, 0.1696, 0.5858)  1 S 1.50
Na (0.1731, 0.6780, 0.1700)  4 O 2.40-2.56
O (0.5880, 0.0064, 0.3087)  1 Si 1.62
S (0.4806, 0.3270, 0.5837)  4 O 1.47-1.50
O (0.2352, 0.1616, 0.2523)  1 Si 1.61
O (0.0095, 0.8367, 0.4123)  1 Si 1.63
Na (0.9833, 0.6723, 0.9186)  4 O 2.37-2.56
O (0.5114, 0.2055, 0.1957)  1 S 1.49
O (0.8996, 0.8364, 0.1932)  1 Si 1.71, 1 Ti 1.84
O (0.5937, 0.7089, 0.7581)  1 Si 1.64
Ti (0.6665, 0.6471, 0.8109)  5 O 1.87-2.06
Ti (0.1661, 0.6861, 0.3112)  5 O 1.88-2.07
O (0.1694, 0.4737, 0.0782)  1 S 1.49
O (0.4865, 0.8127, 0.0853)  1 Si 1.67
O (0.8210, 0.1569, 0.4226)  1 Si 1.64
O (0.4276, 0.3075, 0.5303)  1 S 1.49
O (0.7520, 0.8696, 0.3625)  1 Si 1.72, 1 Ti 1.84
Na (0.3290, 0.9675, 0.5833)  6 O 2.43-2.72
Na (0.5127, 0.6939, 0.5732)  3 O 2.29-2.47
Ca (0.1649, 0.6689, 0.0101)  6 O 2.15-2.38
Na (0.4940, 0.3716, 0.7514)  5 O 2.39-2.64
O (0.7353, 0.3085, 0.7526)  1 Si 1.60
O (0.5935, 0.1584, 0.0883)  1 Si 1.64
Ti (0.8478, 0.3573, 0.4748)  4 O 1.85-2.01
Na (0.8353, 0.3289, 0.3314)  6 O 2.44-2.62
O (0.0834, 0.9912, 0.9042)  1 Si 1.64
O (0.1792, 0.4792, 0.3617)  1 S 1.48
Na (0.8132, 0.6217, 0.7427)  4 O 2.33-2.57
S (0.0049, 0.7179, 0.7528)  4 O 1.47-1.53
O (0.9868, 0.1610, 0.5852)  1 Si 1.68, 1 Ti 1.88
O (0.3456, 0.1581, 0.7540)  1 Si 1.60
O (0.3496, 0.5267, 0.5274)  1 Si 1.68
O (0.0697, 0.6446, 0.3554)  1 Si 1.65
Na (0.3510, 0.0354, 0.9129)  5 O 2.45-2.60
O (0.3129, 0.1041, 0.1445)  1 Si 1.59
O (0.6450, 0.8116, 0.2563)  1 Si 1.66
Si (0.6659, 0.3654, 0.4161)  4 O 1.60-1.70
Na (0.0013, 0.0015, 0.4947)  6 O 2.42-2.63
Na (0.0125, 0.3277, 0.0770)  5 O 2.39-2.64
O (0.2582, 0.8140, 0.7588)  1 Si 1.66
Na (0.3125, 0.0063, 0.2461)  5 O 2.44-2.61
Si (0.3520, 0.9898, 0.7545)  4 O 1.60-1.69
O (0.8464, 0.5294, 0.5271)  1 Si 1.70
O (0.5663, 0.4798, 0.5803)  1 S 1.48
O (0.2527, 0.6621, 0.5697)  1 Si 1.64
O (0.7410, 0.3963, 0.1435)  1 Si 1.59
O (0.2562, 0.8386, 0.0788)  1 Si 1.62
Na (0.6687, 0.6753, 0.1685)  6 O 2.47-2.77
O (0.0927, 0.0278, 0.5895)  1 Si 1.65
Si (0.9847, 0.3428, 0.5812)  4 O 1.60-1.68
Na (0.9954, 0.3543, 0.7433)  4 O 2.37-2.55
O (0.9236, 0.3166, 0.2514)  1 Si 1.60
O (0.7596, 0.8172, 0.7560)  1 Si 1.65
O (0.9606, 0.3914, 0.6444)  1 Si 1.60
O (0.5828, 0.4596, 0.2536)  1 S 1.50
Na (0.3361, 0.3404, 0.8291)  6 O 2.39-2.66
Ti (0.9943, 0.0034, 0.1556)  3 O 1.82-1.92
O (0.9235, 0.0215, 0.0857)  1 Si 1.68
O (0.5951, 0.0278, 0.5867)  1 S 1.51
O (0.5903, 0.1722, 0.8071)  1 Si 1.65, 1 Ti 1.79
O (0.9875, 0.8045, 0.0850)  1 S 1.50
O (0.1691, 0.8442, 0.5707)  1 Si 1.67
Ti (0.1690, 0.6839, 0.5170)  5 O 1.87-2.01
O (0.0887, 0.1683, 0.8097)  1 Si 1.63
Na (0.1685, 0.6612, 0.6619)  6 O 2.56-2.74
O (0.6565, 0.8575, 0.9705)  1 S 1.47
O (0.1831, 0.8637, 0.8604)  1 Si 1.70
O (0.0019, 0.1789, 0.9055)  1 Si 1.64
O (0.7544, 0.3572, 0.4217)  1 Si 1.66
Ti (0.5041, 0.0112, 0.8493)  3 O 1.79-1.86
Ti (0.9975, 0.9955, 0.3515)  4 O 1.85-1.93
O (0.0660, 0.6522, 0.0799)  1 S 1.49
O (0.9294, 0.5058, 0.4222)  1 Si 1.67, 1 Ti 1.85
Si (0.1413, 0.9982, 0.2512)  4 O 1.61-1.69
O (0.6660, 0.8609, 0.5802)  1 S 1.48
O (0.5683, 0.4906, 0.8553)  1 Si 1.65
O (0.9305, 0.5442, 0.7518)  1 S 1.48
O (0.0154, 0.8142, 0.6977)  1 S 1.47
Si (0.6394, 0.9874, 0.2527)  4 O 1.61-1.70
O (0.5153, 0.8324, 0.6930)  1 Si 1.70, 1 Ti 1.82
Si (0.3346, 0.0298, 0.0869)  4 O 1.59-1.74
O (0.4084, 0.9964, 0.4096)  1 Si 1.64
O (0.0822, 0.9721, 0.1894)  1 Si 1.69
Si (0.8107, 0.6589, 0.9158)  4 O 1.63-1.67
O (0.4219, 0.4804, 0.4219)  1 Si 1.65
Ti (0.9955, 0.0104, 0.8562)  4 O 1.82-2.01
S (0.6655, 0.9558, 0.9163)  4 O 1.47-1.52
Ca (0.6690, 0.6664, 0.5082)  6 O 2.17-2.41
Na (0.3337, 0.7026, 0.0838)  2 O 2.30-2.44
O (0.7919, 0.8679, 0.4780)  1 Si 1.59
Ti (0.4942, 0.9832, 0.6545)  4 O 1.82-2.03
Na (0.4944, 0.9875, 0.4942)  6 O 2.48-2.67
O (0.0896, 0.0117, 0.3079)  1 Si 1.62
Si (0.4846, 0.6278, 0.0812)  4 O 1.60-1.68
O (0.9966, 0.8002, 0.8069)  1 S 1.47
O (0.9416, 0.5378, 0.1381)  1 S 1.47
S (0.1670, 0.3782, 0.4164)  4 O 1.47-1.53
O (0.4118, 0.0096, 0.8129)  1 Si 1.65
O (0.0849, 0.7033, 0.7565)  1 S 1.53
O (0.8215, 0.4904, 0.9256)  1 Si 1.66
O (0.2325, 0.3123, 0.7543)  1 Si 1.61
O (0.2395, 0.0845, 0.6445)  1 Si 1.60
O (0.6773, 0.8783, 0.8615)  1 S 1.48
O (0.5821, 0.1928, 0.6897)  1 Si 1.66
O (0.6827, 0.5061, 0.3610)  1 Si 1.70
Ti (0.3472, 0.3250, 0.9803)  3 O 1.83-1.87
O (0.3212, 0.5069, 0.9171)  1 S 1.48
O (0.2547, 0.1604, 0.9217)  1 Si 1.67
O (0.7444, 0.1308, 0.9209)  1 S 1.52
O (0.8175, 0.5264, 0.6468)  1 Si 1.60
Na (0.3263, 0.3342, 0.3351)  6 O 2.45-2.74
Na (0.4859, 0.2984, 0.4183)  4 O 2.39-2.61
O (0.4960, 0.8253, 0.8098)  1 Si 1.64
Na (0.8494, 0.6746, 0.4193)  7 O 2.52-2.79
O (0.3468, 0.1594, 0.0264)  1 Si 1.74, 1 Ti 1.83
Ca (0.3367, 0.3395, 0.1849)  6 O 2.16-2.34
O (0.6377, 0.4161, 0.4771)  1 Si 1.60
Na (0.6674, 0.0314, 0.4156)  4 O 2.44-2.64
Ti (0.6691, 0.6534, 0.0180)  5 O 1.87-1.99
O (0.7530, 0.6617, 0.5816)  1 Si 1.62
O (0.1591, 0.4612, 0.4707)  1 S 1.47
O (0.9116, 0.8114, 0.3112)  1 Si 1.64
Si (0.8344, 0.0333, 0.0810)  4 O 1.60-1.69
Ca (0.8280, 0.3236, 0.1859)  6 O 2.21-2.30
O (0.4585, 0.5259, 0.1429)  1 Si 1.60
O (0.4426, 0.3457, 0.6392)  1 S 1.47
Na (0.9926, 0.6181, 0.2546)  4 O 2.38-2.60
O (0.9958, 0.1676, 0.3078)  1 Si 1.62
Na (0.1918, 0.0171, 0.7460)  4 O 2.40-2.54
O (0.9080, 0.8207, 0.9092)  1 Si 1.65
Si (0.0259, 0.6771, 0.4151)  4 O 1.63-1.67
Si (0.0132, 0.3667, 0.9181)  4 O 1.60-1.71
O (0.3457, 0.5344, 0.2527)  1 Si 1.61
O (0.2602, 0.7039, 0.2547)  1 Si 1.65
O (0.7575, 0.7003, 0.2566)  1 Si 1.65
Si (0.5135, 0.6596, 0.4179)  4 O 1.60-1.68
O (0.0722, 0.5072, 0.8634)  1 Si 1.71, 1 Ti 1.89
O (0.4275, 0.3505, 0.9234)  1 Si 1.69, 1 Ti 1.86
S (0.1825, 0.3259, 0.0817)  4 O 1.47-1.50
O (0.8449, 0.5314, 0.2524)  1 Si 1.60
O (0.5066, 0.1772, 0.9125)  1 Si 1.65
O (0.1464, 0.4798, 0.7598)  1 Si 1.69
O (0.3996, 0.9620, 0.6942)  1 Si 1.69, 1 Ti 1.86
Na (0.4967, 0.6297, 0.2489)  4 O 2.36-2.54
Si (0.8540, 0.9894, 0.7504)  4 O 1.61-1.67
O (0.7644, 0.6878, 0.9737)  1 Si 1.63
Na (0.6746, 0.6690, 0.6662)  6 O 2.39-2.67
Si (0.0057, 0.2958, 0.2545)  4 O 1.60-1.72
O (0.9146, 0.3097, 0.5281)  1 Si 1.66
Ti (0.4987, 0.9793, 0.1433)  5 O 1.88-2.08
O (0.5904, 0.9796, 0.9127)  1 S 1.49
Na (0.6918, 0.3710, 0.2500)  5 O 2.41-2.62
O (0.9006, 0.9710, 0.6886)  1 Si 1.67
Na (0.8262, 0.3178, 0.8349)  6 O 2.45-2.72
O (0.5689, 0.6355, 0.3622)  1 Si 1.68
O (0.2316, 0.3513, 0.1367)  1 S 1.47
O (0.6694, 0.4945, 0.0707)  1 Si 1.67
O (0.4285, 0.3097, 0.2501)  1 S 1.49
Si (0.3112, 0.9629, 0.4161)  4 O 1.64-1.67
O (0.4131, 0.5177, 0.0275)  1 Si 1.68, 1 Ti 1.87
O (0.1444, 0.8668, 0.9775)  1 Si 1.60
O (0.7493, 0.6355, 0.8568)  1 Si 1.67, 1 Ti 1.87
O (0.7286, 0.1081, 0.6391)  1 S 1.47
O (0.0812, 0.1978, 0.6915)  1 Si 1.67
O (0.5839, 0.1762, 0.4024)  1 Si 1.65
O (0.4238, 0.8256, 0.5873)  1 Si 1.69
O (0.4149, 0.8313, 0.3051)  1 Si 1.62
Na (0.5087, 0.0126, 0.0001)  5 O 2.44-2.56
Si (0.3540, 0.7187, 0.2506)  4 O 1.61-1.69
Si (0.1665, 0.9710, 0.9163)  4 O 1.60-1.70
O (0.7233, 0.1386, 0.5304)  1 S 1.47
Ca (0.8372, 0.3327, 0.6832)  6 O 2.14-2.38
O (0.2604, 0.6441, 0.8629)  1 S 1.51
O (0.4035, 0.8180, 0.9075)  1 S 1.48
Si (0.5252, 0.3740, 0.9153)  4 O 1.62-1.69
O (0.5809, 0.6678, 0.0665)  1 Si 1.63
O (0.9250, 0.8188, 0.5897)  1 Si 1.69
O (0.7400, 0.3038, 0.0286)  1 Si 1.68, 1 Ti 1.87
O (0.2269, 0.3114, 0.0279)  1 S 1.49
O (0.0818, 0.4951, 0.5675)  1 Si 1.64
O (0.5661, 0.7113, 0.4791)  1 Si 1.60
O (0.0827, 0.6885, 0.4730)  1 Si 1.63
Si (0.3341, 0.6352, 0.5820)  4 O 1.60-1.69
Si (0.8233, 0.9797, 0.4188)  4 O 1.59-1.72
O (0.5021, 0.8254, 0.4058)  1 Si 1.65, 1 Ti 1.84
Na (0.8137, 0.0110, 0.2473)  5 O 2.42-2.68
O (0.6482, 0.4756, 0.7530)  1 Si 1.67
O (0.0944, 0.4795, 0.2573)  1 Si 1.64
O (0.5820, 0.4727, 0.9732)  1 Si 1.62
S (0.6800, 0.0356, 0.5835)  4 O 1.47-1.51
O (0.9148, 0.9987, 0.8054)  1 Si 1.63, 1 Ti 1.82
O (0.7521, 0.8440, 0.0682)  1 Si 1.65
O (0.7323, 0.1532, 0.2538)  1 Si 1.61
Na (0.0132, 0.6938, 0.5815)  3 O 2.40-2.64
S (0.9799, 0.6330, 0.0831)  4 O 1.47-1.50
Na (0.1901, 0.3725, 0.2561)  5 O 2.39-2.63
Na (0.9922, 0.9998, 0.9952)  6 O 2.43-2.66
O (0.3110, 0.5326, 0.6438)  1 Si 1.60
Na (0.1566, 0.3431, 0.5836)  4 O 2.41-2.68
Na (0.8312, 0.9581, 0.5744)  3 O 2.29-2.50
Ti (0.3255, 0.3356, 0.4777)  5 O 1.90-2.02
O (0.3209, 0.1522, 0.4263)  1 Si 1.66
Ti (0.4968, 0.9814, 0.3565)  5 O 1.83-2.05
Na (0.3137, 0.6166, 0.7442)  4 O 2.36-2.49
Ti (0.1630, 0.6667, 0.8159)  5 O 1.89-2.09
Si (0.1854, 0.0381, 0.5839)  4 O 1.60-1.67
O (0.8458, 0.1572, 0.7531)  1 Si 1.61
Ti (0.6720, 0.6814, 0.3219)  3 O 1.84-1.93
Na (0.1629, 0.2965, 0.9157)  5 O 2.42-2.68
O (0.9230, 0.3656, 0.9208)  1 Si 1.64
O (0.5814, 0.9692, 0.1908)  1 Si 1.70, 1 Ti 1.88
O (0.0161, 0.2005, 0.1913)  1 Si 1.72, 1 Ti 1.82
Si (0.5055, 0.7163, 0.7552)  4 O 1.60-1.70
S (0.5045, 0.2885, 0.2513)  4 O 1.47-1.50
Na (0.6575, 0.9701, 0.0857)  4 O 2.42-2.70
O (0.4260, 0.0326, 0.0879)  1 Si 1.65
Na (0.8288, 0.6918, 0.0859)  6 O 2.45-2.72
O (0.2845, 0.6956, 0.9704)  1 S 1.48
Na (0.5159, 0.3348, 0.0857)  4 O 2.40-2.69
S (0.3186, 0.6661, 0.9142)  4 O 1.48-1.51
Na (0.6918, 0.0071, 0.7527)  6 O 2.39-2.67
Na (0.6579, 0.3497, 0.5783)  5 O 2.42-2.69
O (0.2650, 0.8416, 0.4741)  1 Si 1.64
Si (0.8508, 0.7120, 0.2539)  4 O 1.60-1.71
O (0.4228, 0.5319, 0.7527)  1 Si 1.60
O (0.0674, 0.4198, 0.9786)  1 Si 1.60
Ti (0.8252, 0.3155, 0.9782)  5 O 1.87-2.05
Si (0.1388, 0.2888, 0.7527)  4 O 1.61-1.69
O (0.2396, 0.1772, 0.5298)  1 Si 1.67
O (0.2464, 0.3621, 0.4213)  1 S 1.53
O (0.9280, 0.5467, 0.0291)  1 S 1.49
O (0.0981, 0.1649, 0.0843)  1 S 1.50
Si (0.6428, 0.2883, 0.7489)  4 O 1.60-1.67
Na (0.1578, 0.9667, 0.0833)  6 O 2.49-2.75
O (0.2500, 0.8644, 0.3568)  1 Si 1.67
O (0.0927, 0.2062, 0.4130)  1 S 1.47
O (0.4004, 0.8289, 0.1876)  1 Si 1.69
Ca (0.3284, 0.3328, 0.6849)  6 O 2.21-2.35
Si (0.8334, 0.6318, 0.5862)  4 O 1.60-1.70